Computed, not measured: crystalline HoI3O9 at its relaxed geometry at the PBE level of DFT.

## Properties
- Symmetry: Pmmn, No. 59
- VASP energy: -4.627 eV per atom
- Polymorph energy (0 for the lowest one): 514 meV per atom

Unit cell a=6.4779 b=6.5286 c=8.5884 alpha=90.00 beta=90.00 gamma=90.00
Closest atoms and distances in Å follow each position.
Atoms (fractional coordinates):
O (0.5000, 0.7043, 0.0000)  1 Ho 2.19
O (0.6906, 0.5462, 0.3617)  1 I 1.93, 1 O 2.15
O (0.8094, 0.4538, 0.8617)  1 I 1.93, 1 O 2.15
O (0.0000, 0.8608, 0.2609)  1 I 1.90
O (0.3094, 0.5462, 0.6383)  1 I 1.93, 1 O 2.15
O (0.5000, 0.1392, 0.2391)  1 I 1.90
O (0.1906, 0.4538, 0.1383)  1 I 1.93, 1 O 2.15
O (0.1906, 0.4538, 0.8617)  1 I 1.93, 1 O 2.15
O (0.0000, 0.2957, 0.5000)  1 Ho 2.19
O (0.0000, 0.8608, 0.7391)  1 I 1.90
I (0.0000, 0.1390, 0.8030)  3 O 1.90-2.12
O (0.8094, 0.4538, 0.1383)  1 I 1.93, 1 O 2.15
I (0.5000, 0.8610, 0.3030)  3 O 1.90-2.12
I (0.0000, 0.1390, 0.1970)  3 O 1.90-2.12
I (0.0000, 0.5914, 0.0000)  4 O 1.93
O (0.3094, 0.5462, 0.3617)  1 I 1.93, 1 O 2.15
O (0.5000, 0.1392, 0.7609)  1 I 1.90
O (0.6906, 0.5462, 0.6383)  1 I 1.93, 1 O 2.15
I (0.5000, 0.4086, 0.5000)  4 O 1.93
Ho (0.5000, 0.3683, 0.0000)  5 O 2.19-2.40
O (0.3107, 0.9162, 0.5000)  2 I 2.12
Ho (0.0000, 0.6317, 0.5000)  5 O 2.19-2.40
O (0.1893, 0.0838, 0.0000)  2 I 2.12
O (0.6893, 0.9162, 0.5000)  2 I 2.12
I (0.5000, 0.8610, 0.6970)  3 O 1.90-2.12
O (0.8107, 0.0838, 0.0000)  2 I 2.12